Entry a
LiVO2F2 | PBE+U | optimized geometry Values from VASP.

```
&SYSTEM
  ibrav = 0, nat = 12, ntyp = 4
/
ATOMIC_SPECIES
Li 6.94 Li.upf
V 50.94 V.upf
O 16.00 O.upf
F 19.00 F.upf
CELL_PARAMETERS angstrom
5.5054 0.0000 0.0000
0.0000 5.2983 0.0000
0.0000 2.5246 4.7358
ATOMIC_POSITIONS crystal
Li 0.5946 0.2500 0.5000
Li 0.4054 0.7500 0.5000
V 0.9014 0.2500 0.0000
V 0.0986 0.7500 0.0000
O 0.8897 0.0268 0.7996
O 0.8897 0.4732 0.2004
O 0.1103 0.5268 0.7996
O 0.1103 0.9732 0.2004
F 0.6415 0.0545 0.2633
F 0.3585 0.5545 0.2633
F 0.6415 0.4455 0.7367
F 0.3585 0.9455 0.7367
```

SG = P2/c



Entry b
LiVO2F2 | PBE+U | optimized geometry Values from VASP.

```
&SYSTEM
  ibrav = 0, nat = 24, ntyp = 4
/
ATOMIC_SPECIES
Li 6.94 Li.upf
V 50.94 V.upf
O 16.00 O.upf
F 19.00 F.upf
CELL_PARAMETERS angstrom
4.9159 0.0000 0.0000
0.0000 7.4775 0.0000
0.0000 1.7968 7.3195
ATOMIC_POSITIONS crystal
Li 0.2551 0.6256 0.6374
Li 0.2449 0.6256 0.1374
Li 0.7551 0.3744 0.8626
Li 0.7449 0.3744 0.3626
V 0.7670 0.8389 0.8371
V 0.7330 0.8389 0.3371
V 0.2670 0.1611 0.6629
V 0.2330 0.1611 0.1629
O 0.0607 0.9625 0.6998
O 0.4393 0.9625 0.1998
O 0.6157 0.8158 0.5472
O 0.8843 0.8158 0.0472
O 0.1157 0.1842 0.9528
O 0.3843 0.1842 0.4528
O 0.5607 0.0375 0.8002
O 0.9393 0.0375 0.3002
F 0.4564 0.6831 0.8928
F 0.9358 0.6134 0.7979
F 0.0436 0.6831 0.3928
F 0.5642 0.6134 0.2979
F 0.4358 0.3866 0.7021
F 0.9564 0.3169 0.6072
F 0.0642 0.3866 0.2021
F 0.5436 0.3169 0.1072
```

SG = P2_1/c



Entry c
LiVO2F2 | PBE+U | optimized geometry Values from VASP.

```
&SYSTEM
  ibrav = 0, nat = 24, ntyp = 4
/
ATOMIC_SPECIES
Li 6.94 Li.upf
V 50.94 V.upf
O 16.00 O.upf
F 19.00 F.upf
CELL_PARAMETERS angstrom
-2.1735 4.3072 1.6098
-1.1241 -2.8064 5.9909
7.5205 2.7807 2.7138
ATOMIC_POSITIONS crystal
Li 0.0287 0.2470 0.7269
Li 0.0287 0.2530 0.2269
Li 0.9713 0.7470 0.7269
Li 0.9713 0.7530 0.2269
V 0.5459 0.9897 0.0217
V 0.5459 0.5103 0.5217
V 0.4541 0.4897 0.0217
V 0.4541 0.0103 0.5217
O 0.3158 0.0365 0.6963
O 0.6083 0.2461 0.9686
O 0.6083 0.2539 0.4686
O 0.3158 0.4635 0.1963
O 0.6842 0.5365 0.6963
O 0.3917 0.7461 0.9686
O 0.3917 0.7539 0.4686
O 0.6842 0.9635 0.1963
F 0.1788 0.0853 0.3884
F 0.2032 0.0634 0.0800
F 0.2032 0.4366 0.5800
F 0.1788 0.4147 0.8884
F 0.8212 0.5853 0.3884
F 0.7968 0.5634 0.0800
F 0.7968 0.9366 0.5800
F 0.8212 0.9147 0.8884
```

SG = Pca2_1



Tell me which of them is the least stable. Sure, it is entry c.



Entry a
Li2Fe3CoO8 | PBE+U | optimized geometry Values from VASP.

```
&SYSTEM
  ibrav = 0, nat = 56, ntyp = 4
/
ATOMIC_SPECIES
Li 6.94 Li.upf
Fe 55.84 Fe.upf
Co 58.93 Co.upf
O 16.00 O.upf
CELL_PARAMETERS angstrom
-0.2274 7.3662 3.9618
-7.8395 1.2239 -2.7526
-2.9977 -3.8289 6.9074
ATOMIC_POSITIONS crystal
Li 0.1231 0.3742 0.1221
Li 0.2501 0.7520 0.2489
Li 0.2510 0.2503 0.7497
Li 0.3761 0.8770 0.8761
Li 0.6222 0.6248 0.3778
Li 0.7519 0.2502 0.2511
Li 0.7498 0.7521 0.7498
Li 0.8796 0.1238 0.6248
Fe 0.1212 0.1234 0.3785
Fe 0.1242 0.8829 0.6260
Fe 0.1247 0.6238 0.8802
Fe 0.3754 0.1237 0.1182
Fe 0.3775 0.3812 0.3749
Fe 0.3807 0.6254 0.6237
Fe 0.6171 0.8732 0.1210
Fe 0.6230 0.1183 0.8761
Fe 0.6245 0.3792 0.6191
Fe 0.8760 0.8744 0.3813
Fe 0.8765 0.6193 0.1250
Fe 0.8811 0.3754 0.8755
Co 0.0002 0.4985 0.5010
Co 0.5050 0.9986 0.5008
Co 0.4995 0.4981 0.9982
Co 0.9994 0.9996 0.0017
O 0.1071 0.3901 0.8723
O 0.1095 0.6271 0.1060
O 0.1173 0.8898 0.3848
O 0.1274 0.1099 0.6086
O 0.1205 0.8622 0.8595
O 0.1413 0.6361 0.6359
O 0.1351 0.3542 0.3784
O 0.1426 0.1205 0.1409
O 0.3616 0.6234 0.8588
O 0.3644 0.8649 0.6214
O 0.3644 0.1322 0.3683
O 0.3791 0.3590 0.1411
O 0.3706 0.6085 0.3943
O 0.3875 0.3857 0.6143
O 0.3901 0.1278 0.8933
O 0.3902 0.8930 0.1213
O 0.6034 0.6158 0.6259
O 0.6131 0.3762 0.3966
O 0.6124 0.1133 0.1166
O 0.6291 0.8937 0.8898
O 0.6156 0.1301 0.6364
O 0.6364 0.3611 0.8571
O 0.6353 0.6397 0.1237
O 0.6318 0.8811 0.3671
O 0.8584 0.3769 0.6394
O 0.8622 0.1409 0.8764
O 0.8602 0.8643 0.1420
O 0.8788 0.6378 0.3608
O 0.8727 0.3919 0.1040
O 0.8836 0.6122 0.8838
O 0.8915 0.8725 0.6042
O 0.8965 0.1088 0.3753
```

SG = P1



Entry b
Li2Fe3CoO8 | PBE+U | optimized geometry Values from VASP.

```
&SYSTEM
  ibrav = 0, nat = 14, ntyp = 4
/
ATOMIC_SPECIES
Li 6.94 Li.upf
Fe 55.84 Fe.upf
Co 58.93 Co.upf
O 16.00 O.upf
CELL_PARAMETERS angstrom
6.0317 0.0000 0.0023
0.0000 5.9092 0.0000
2.9393 2.9546 4.1747
ATOMIC_POSITIONS crystal
Li 0.5000 0.5000 0.5000
Li 0.5000 0.0000 0.5000
Fe 0.0000 0.5000 0.0000
Fe 0.0000 0.5000 0.5000
Fe 0.0000 0.0000 0.5000
Co 0.0000 0.0000 0.0000
O 0.2060 0.7553 0.0122
O 0.2060 0.2325 0.0122
O 0.2132 0.7307 0.5387
O 0.2122 0.2285 0.5429
O 0.7878 0.7715 0.4571
O 0.7868 0.2693 0.4613
O 0.7940 0.7675 0.9878
O 0.7940 0.2447 0.9878
```

SG = C2/m



Tell me which of them is the least stable. Sure, it is entry a.



Entry a
LiCoC2O6 | PBE+U | optimized geometry Values from VASP.

```
&SYSTEM
  ibrav = 0, nat = 40, ntyp = 4
/
ATOMIC_SPECIES
Li 6.94 Li.upf
Co 58.93 Co.upf
C 12.01 C.upf
O 16.00 O.upf
CELL_PARAMETERS angstrom
2.3387 -1.0491 3.9172
2.3224 1.0436 -3.9099
-0.0113 19.0843 7.8387
ATOMIC_POSITIONS crystal
Li 0.9999 0.0000 0.0002
Li 0.2489 0.7510 0.2524
Li 0.5010 0.4991 0.4979
Li 0.7502 0.2500 0.7497
Co 0.1252 0.8747 0.6243
Co 0.3750 0.6250 0.8750
Co 0.6248 0.3753 0.1258
Co 0.8750 0.1250 0.3750
C 0.9390 0.0615 0.1843
C 0.1875 0.8119 0.4323
C 0.4393 0.5610 0.6829
C 0.6890 0.3111 0.9335
C 0.3106 0.6891 0.0672
C 0.5625 0.4380 0.3177
C 0.8111 0.1884 0.5656
C 0.0610 0.9390 0.8165
O 0.3187 0.9700 0.0670
O 0.5813 0.7266 0.3177
O 0.8189 0.4692 0.5653
O 0.0689 0.2198 0.8163
O 0.2194 0.3350 0.1846
O 0.4713 0.0805 0.4333
O 0.7197 0.8344 0.6832
O 0.9694 0.5846 0.9339
O 0.6663 0.0685 0.1846
O 0.9176 0.8261 0.4331
O 0.1668 0.5680 0.6832
O 0.4165 0.3181 0.9338
O 0.5832 0.6820 0.0669
O 0.8324 0.4238 0.3168
O 0.0837 0.1816 0.5653
O 0.3335 0.9319 0.8162
O 0.0301 0.4157 0.0668
O 0.2786 0.1694 0.3166
O 0.5308 0.9149 0.5653
O 0.7806 0.6655 0.8162
O 0.9310 0.7806 0.1846
O 0.1687 0.5234 0.4323
O 0.4314 0.2802 0.6831
O 0.6811 0.0303 0.9337
```

SG = P-1



Entry b
LiCoC2O6 | PBE+U | optimized geometry Values from VASP.

```
&SYSTEM
  ibrav = 0, nat = 40, ntyp = 4
/
ATOMIC_SPECIES
Li 6.94 Li.upf
Co 58.93 Co.upf
C 12.01 C.upf
O 16.00 O.upf
CELL_PARAMETERS angstrom
6.4670 0.0000 0.4051
0.0000 7.8049 -0.0007
2.4308 -0.0008 9.6417
ATOMIC_POSITIONS crystal
Li 0.4415 0.0555 0.1779
Li 0.9415 0.0555 0.6779
Li 0.5587 0.5554 0.3220
Li 0.0587 0.5554 0.8220
Co 0.5057 0.9979 0.5062
Co 0.4943 0.4979 0.9938
Co 0.0057 0.9979 0.0062
Co 0.9943 0.4979 0.4938
C 0.6746 0.2609 0.4433
C 0.1746 0.2609 0.9433
C 0.3254 0.7609 0.0567
C 0.8254 0.7609 0.5567
C 0.1988 0.2429 0.4274
C 0.6988 0.2428 0.9273
C 0.8011 0.7429 0.0726
C 0.3011 0.7429 0.5726
O 0.7270 0.1238 0.3659
O 0.2270 0.1238 0.8659
O 0.2730 0.6239 0.1342
O 0.7730 0.6239 0.6342
O 0.7512 0.4095 0.4051
O 0.2512 0.4095 0.9051
O 0.2487 0.9096 0.0950
O 0.7487 0.9096 0.5950
O 0.9731 0.7296 0.4361
O 0.4730 0.7296 0.9361
O 0.0268 0.2296 0.0639
O 0.5269 0.2296 0.5639
O 0.2440 0.3894 0.3597
O 0.7440 0.3894 0.8597
O 0.7559 0.8896 0.1402
O 0.2559 0.8896 0.6402
O 0.2969 0.1042 0.3823
O 0.7969 0.1042 0.8823
O 0.7031 0.6043 0.1177
O 0.2032 0.6043 0.6177
O 0.4617 0.7563 0.4548
O 0.9617 0.7563 0.9548
O 0.5383 0.2564 0.0452
O 0.0383 0.2563 0.5452
```



Tell me which of them is the least stable. Sure, it is entry b.